The following is a PBE calculation of InP3O9 after structural relaxation, from the Materials Project.

Properties
- VASP energy: -6.606 eV/atom
- Formation energy from the elements: -28.534 eV/f.u.

Unit cell a=7.4434 b=8.5331 c=8.5594 alpha=61.85 beta=88.78 gamma=89.24
Space group P1 (No. 1)
Inequivalent atoms, fractional coordinates:
In (0.0000, 0.0000, 0.0000)
In (0.4986, 0.3359, 0.3326)
P (0.2997, 0.9900, 0.3258)
P (0.3102, 0.3253, 0.7002)
P (0.3414, 0.7375, 0.0079)
P (0.8092, 0.6462, 0.3509)
P (0.8097, 0.3541, 0.0093)
P (0.8456, 0.0801, 0.5924)
O (0.0170, 0.0631, 0.5129)
O (0.1634, 0.8262, 0.9389)
O (0.1799, 0.2195, 0.8473)
O (0.1849, 0.9356, 0.2169)
O (0.3255, 0.5591, 0.1722)
O (0.3274, 0.2664, 0.5594)
O (0.3321, 0.1882, 0.2444)
O (0.3941, 0.8588, 0.4824)
O (0.4142, 0.4725, 0.6948)
O (0.5129, 0.8196, 0.9236)
O (0.6716, 0.1143, 0.4966)
O (0.6743, 0.4063, 0.1080)
O (0.6870, 0.4903, 0.3991)
O (0.8282, 0.1550, 0.0796)
O (0.8303, 0.7707, 0.1548)
O (0.8325, 0.0708, 0.7724)
O (0.9054, 0.6701, 0.4857)
O (0.9147, 0.4865, 0.8594)